1.
The following is a DFT calculation (PBE) of NaU2Cl6 after structural relaxation.

## Properties
total DFT energy (no corrections) = -5.41 eV/atom
magnetization = 14.0 μB per cell
E (MP2020) = -0.42806 Ry/atom
energy of formation = -17.42 eV/f.u.
relative energy among the computed polymorphs = 0.019 eV/atom

Cell: 4.1095 7.7304 13.5029 Å, 89.48 89.79 89.75°
Last column: nearest neighbours and their distance in Å.
Space group P1 (No. 1)
Inequivalent atoms, fractional coordinates:
Na 0.0000 0.0000 0.0000 (multiplicity 1)  6 Cl 2.86-2.92
Na 0.4983 0.5006 0.5010 (multiplicity 1)  6 Cl 2.88-2.91
U 0.2506 0.0030 0.6679 (multiplicity 1)  9 Cl 2.90-3.09
U 0.2523 0.4991 0.1674 (multiplicity 1)  9 Cl 2.91-3.09
U 0.7515 0.0015 0.3329 (multiplicity 1)  9 Cl 2.91-3.08
U 0.7552 0.5016 0.8345 (multiplicity 1)  9 Cl 2.90-3.09
Cl 0.2487 0.1107 0.1917 (multiplicity 1)  3 U 2.91-3.02, 1 Na 2.92
Cl 0.2499 0.1560 0.4628 (multiplicity 1)  1 Na 2.91, 3 U 2.96-3.00
Cl 0.2504 0.7334 0.3512 (multiplicity 1)  1 Na 2.88, 3 U 2.92-3.09
Cl 0.2521 0.2293 0.8512 (multiplicity 1)  1 Na 2.86, 3 U 2.93-3.04
Cl 0.2521 0.6055 0.6928 (multiplicity 1)  1 Na 2.90, 3 U 2.90-3.09
Cl 0.2516 0.6555 0.9633 (multiplicity 1)  1 Na 2.90, 3 U 2.95-3.00
Cl 0.7484 0.3388 0.0443 (multiplicity 1)  1 Na 2.88, 3 U 2.91-3.09
Cl 0.7477 0.3897 0.3113 (multiplicity 1)  1 Na 2.89, 3 U 2.94-3.01
Cl 0.7500 0.2664 0.6520 (multiplicity 1)  3 U 2.90-3.08, 1 Na 2.90
Cl 0.7497 0.7685 0.1543 (multiplicity 1)  1 Na 2.92, 3 U 2.93-3.02
Cl 0.7514 0.8848 0.8105 (multiplicity 1)  1 Na 2.91, 3 U 2.95-2.98
Cl 0.7523 0.8396 0.5424 (multiplicity 1)  1 Na 2.88, 3 U 2.95-3.08

---

2.
The following is a DFT calculation (PBE) of NaYCl4 after structural relaxation.

## Properties
total DFT energy (no corrections) = -4.64 eV/atom
E (MP2020) = -0.37126 Ry/atom
energy of formation = -15.12 eV/f.u.

Cell: 6.6840 6.7696 7.0693 Å, 89.39 87.82 78.47°
Last column: nearest neighbours and their distance in Å.
Space group P-1 (No. 2)
Inequivalent atoms, fractional coordinates:
Na 0.2317 0.1974 0.0355 (multiplicity 2)  6 Cl 2.78-3.04
Y 0.2111 0.7005 0.4451 (multiplicity 2)  7 Cl 2.58-2.80
Cl 0.0470 0.5034 0.7413 (multiplicity 2)  2 Y 2.78-2.79, 2 Na 2.90-3.04
Cl 0.0956 0.0021 0.7057 (multiplicity 2)  2 Y 2.74-2.80, 1 Na 2.95
Cl 0.3877 0.7929 0.1345 (multiplicity 2)  1 Y 2.58, 2 Na 2.78-2.82
Cl 0.4332 0.3138 0.3818 (multiplicity 2)  2 Y 2.70-2.77